Crystalline Tb2ZrSe5 at its relaxed geometry, computed with PBE.

```
Tb2ZrSe5
1.0
12.195 0.000 0.000
0.000 8.150 0.000
0.000 0.000 7.650
Tb Zr Se
8 4 20
direct
0.179 0.004 0.025 Tb
0.179 0.496 0.025 Tb
0.321 0.504 0.525 Tb
0.321 0.996 0.525 Tb
0.679 0.004 0.475 Tb
0.679 0.496 0.475 Tb
0.821 0.504 0.975 Tb
0.821 0.996 0.975 Tb
0.006 0.750 0.578 Zr
0.494 0.250 0.078 Zr
0.506 0.750 0.922 Zr
0.994 0.250 0.422 Zr
0.003 0.750 0.949 Se
0.094 0.038 0.664 Se
0.094 0.462 0.664 Se
0.182 0.750 0.331 Se
0.209 0.250 0.312 Se
0.291 0.750 0.812 Se
0.318 0.250 0.831 Se
0.406 0.538 0.164 Se
0.406 0.962 0.164 Se
0.497 0.250 0.449 Se
0.503 0.750 0.551 Se
0.594 0.038 0.836 Se
0.594 0.462 0.836 Se
0.682 0.750 0.169 Se
0.709 0.250 0.188 Se
0.791 0.750 0.688 Se
0.818 0.250 0.669 Se
0.906 0.538 0.336 Se
0.906 0.962 0.336 Se
0.997 0.250 0.051 Se
```

Summary:
- space group = Pnma
- theoretical density (g cm⁻³) = 7.0

Crystalline TeSe2 at its relaxed geometry, computed with PBE.

```
TeSe2
1.0
3.888 -2.217 0.000
3.888 2.217 0.000
-0.137 0.000 5.351
Te Se
1 2
direct
0.000 0.000 0.000 Te
0.515 0.256 0.338 Se
0.744 0.485 0.662 Se
```

Summary:
- maximum piezoelectric response (C/m2) = 1.5
- space group = C2
- theoretical density (g cm⁻³) = 5.1

Crystalline TeSe at its relaxed geometry, computed with PBE.

```
TeSe
1.0
4.399 0.000 0.000
2.137 3.890 0.000
0.116 0.209 11.033
Te Se
3 3
direct
0.000 0.000 0.000 Te
0.014 0.990 0.514 Te
0.742 0.725 0.336 Te
0.508 0.227 0.167 Se
0.516 0.222 0.679 Se
0.741 0.768 0.837 Se
```

Summary:
- maximum piezoelectric response (C/m2) = 1.4
- space group = P1
- theoretical density (g cm⁻³) = 5.5

| no. | ΔH_f (0 K) (meV per atom) |
| --- | --- |
| 1 | -1945.7 |
| 2 | -319.6 |
| 3 | -243.4 |